Record 1
Below is a geometry-optimized AgGeO3 structure, with properties calculated at the PBE level.

Summary:
Its space-group type is No. 26. The value obtained for the final energy is -5.3851 eV/atom. For the total moment, the calculation gives 0.0 Bohr magnetons per cell. As for the formation energy: -1.337 eV/atom.

abc: 3.1704 5.1585 9.3087
angles: 90.00 90.00 90.00
Closest atoms and distances in Å follow each position.
Element x y z (fractional)
Ge: 0.0000 0.9092 0.7522  4 O 1.77-1.83
O: 0.0000 0.2781 0.4114  1 Ge 1.77
Ag: 0.5000 0.5034 0.0017  4 O 2.12-2.13
O: 0.5000 0.0870 0.7478  2 Ge 1.83
O: 0.0000 0.2861 0.0946  1 Ge 1.78
Ge: 0.0000 0.0908 0.2522  4 O 1.77-1.83
Ag: 0.5000 0.4966 0.5017  4 O 2.12-2.13
O: 0.0000 0.7139 0.5946  1 Ge 1.78
O: 0.0000 0.7219 0.9114  1 Ge 1.77
O: 0.5000 0.9130 0.2478  2 Ge 1.83

Record 2
Below is a geometry-optimized IrF6 structure, with properties calculated at the PBE level.

Summary:
Its space-group type is No. 62. The value obtained for the final energy is -4.3323 eV/atom. As for the formation energy: -1.825 eV/atom.

abc: 5.1344 8.8565 9.7495
angles: 90.00 90.00 90.00
Closest atoms and distances in Å follow each position.
Element x y z (fractional)
F: 0.2497 0.6002 0.5183  1 Ir 1.88
F: 0.6975 0.7500 0.0111  1 Ir 1.88
F: 0.9390 0.8996 0.7358  1 Ir 1.88
Ir: 0.5941 0.2500 0.8731  6 F 1.88
F: 0.5610 0.6004 0.2358  1 Ir 1.88
F: 0.3866 0.7500 0.7423  1 Ir 1.88
F: 0.8866 0.2500 0.7577  1 Ir 1.88
F: 0.9390 0.6004 0.7358  1 Ir 1.88
F: 0.5610 0.8996 0.2358  1 Ir 1.88
F: 0.6134 0.2500 0.2577  1 Ir 1.88
Ir: 0.0941 0.7500 0.6269  6 F 1.88
F: 0.1975 0.2500 0.4889  1 Ir 1.88
F: 0.4390 0.3996 0.7642  1 Ir 1.88
Ir: 0.4059 0.7500 0.1269  6 F 1.88
F: 0.2503 0.8998 0.0183  1 Ir 1.88
F: 0.2497 0.8998 0.5183  1 Ir 1.88
Ir: 0.9059 0.2500 0.3731  6 F 1.88
F: 0.4390 0.1004 0.7642  1 Ir 1.88
F: 0.1134 0.7500 0.2423  1 Ir 1.88
F: 0.3025 0.2500 0.9889  1 Ir 1.88
F: 0.7503 0.1002 0.4817  1 Ir 1.88
F: 0.0610 0.1004 0.2642  1 Ir 1.88
F: 0.8025 0.7500 0.5111  1 Ir 1.88
F: 0.0610 0.3996 0.2642  1 Ir 1.88
F: 0.7497 0.3998 0.9817  1 Ir 1.88
F: 0.7503 0.3998 0.4817  1 Ir 1.88
F: 0.2503 0.6002 0.0183  1 Ir 1.88
F: 0.7497 0.1002 0.9817  1 Ir 1.88

Record 3
Below is a geometry-optimized Sn2OF5 structure, with properties calculated at the PBE level.

Summary:
Its space-group type is No. 12. The value obtained for the final energy is -5.0779 eV/atom. As for the formation energy: -2.635 eV/atom.

abc: 5.7803 5.7803 8.4825
angles: 68.67 68.67 71.88
Closest atoms and distances in Å follow each position.
Element x y z (fractional)
F: 0.7234 0.7234 0.4983  2 Sn 2.09-2.14
Sn: 0.9741 0.9741 0.3230  4 F 1.98-2.14, 2 O 2.09
F: 0.2038 0.2038 0.1472  1 Sn 1.99
Sn: 0.0259 0.0259 0.6770  4 F 1.98-2.14, 2 O 2.09
F: 0.6023 0.6023 0.2395  1 Sn 1.97
F: 0.1269 0.7089 0.1970  1 Sn 1.98
F: 0.7962 0.7962 0.8528  1 Sn 1.99
F: 0.8731 0.2911 0.8030  1 Sn 1.98
F: 0.2766 0.2766 0.5017  2 Sn 2.09-2.14
F: 0.7089 0.1269 0.1970  1 Sn 1.98
Sn: 0.5000 0.5000 0.5000  4 F 1.97-2.09, 2 O 2.08
O: 0.1940 0.8060 0.5000  3 Sn 2.08-2.09
F: 0.2911 0.8731 0.8030  1 Sn 1.98
O: 0.8060 0.1940 0.5000  3 Sn 2.08-2.09
F: 0.3977 0.3977 0.7605  1 Sn 1.97
Sn: 0.5000 0.5000 0.0000  8 F 2.48-2.61

Record 4
Below is a geometry-optimized BaSn2Bi structure, with properties calculated at the PBE level.

Summary:
Its space-group type is No. 8. The value obtained for the final energy is -3.9155 eV/atom. For the total moment, the calculation gives 0.0 Bohr magnetons per cell. As for the formation energy: -0.458 eV/atom.

abc: 7.3147 7.3147 12.2309
angles: 72.58 72.58 59.96
Closest atoms and distances in Å follow each position.
Element x y z (fractional)
Sn: 0.0961 0.6830 0.1234  4 Sn 3.02-3.37
Ba: 0.6291 0.6291 0.1131  9 Sn 3.67-3.71, 3 Bi 3.67-3.69
Bi: 0.7017 0.7017 0.3803  4 Sn 3.48-3.56, 4 Bi 3.60-3.72, 4 Ba 3.66-3.69
Bi: 0.2969 0.2969 0.6235  6 Sn 3.51-3.73, 2 Bi 3.52, 4 Ba 3.66-3.72
Ba: 0.7865 0.7865 0.6404  7 Sn 3.64-3.68, 5 Bi 3.66-3.71
Sn: 0.9028 0.3166 0.8752  4 Sn 3.02-3.35
Bi: 0.7067 0.2101 0.3757  3 Sn 3.50-3.56, 5 Bi 3.52-3.72, 4 Ba 3.65-3.71
Ba: 0.2144 0.2144 0.3593  7 Bi 3.65-3.72, 5 Sn 3.66-3.74
Bi: 0.2101 0.7067 0.3757  3 Sn 3.50-3.56, 5 Bi 3.52-3.72, 4 Ba 3.65-3.71
Sn: 0.0976 0.0976 0.1233  4 Sn 3.04-3.35
Sn: 0.3166 0.9028 0.8752  4 Sn 3.02-3.35
Ba: 0.3711 0.3711 0.8881  11 Sn 3.66-3.69, 1 Bi 3.67
Sn: 0.7864 0.2964 0.6257  4 Sn 3.46-3.73, 4 Bi 3.48-3.73, 4 Ba 3.64-3.74
Sn: 0.6830 0.0961 0.1234  4 Sn 3.02-3.37
Sn: 0.2964 0.7864 0.6257  4 Sn 3.46-3.73, 4 Bi 3.48-3.73, 4 Ba 3.64-3.74
Sn: 0.9046 0.9046 0.8722  4 Sn 3.02-3.37

Record 5
Below is a geometry-optimized KMg6Bi structure, with properties calculated at the PBE level.

Summary:
The value obtained for the final energy is -1.7424 eV/atom. For the total moment, the calculation gives 0.0 Bohr magnetons per cell. As for the formation energy: 0.083 eV/atom.

abc: 5.2416 6.9793 11.9674
angles: 90.00 90.00 90.00
Closest atoms and distances in Å follow each position.
Element x y z (fractional)
Mg: 0.0000 0.5000 0.8424  8 Mg 3.21-3.35, 2 K 3.49
Mg: 0.5000 0.0000 0.1682  10 Mg 3.32-3.48, 2 Bi 3.49
K: 0.0000 0.5000 0.3299  2 Bi 3.36, 10 Mg 3.43-3.50
Mg: 0.5000 0.7753 0.4253  7 Mg 3.14-3.48, 1 Bi 3.16, 2 K 3.44
Mg: 0.5000 0.2753 0.9253  7 Mg 3.14-3.48, 1 Bi 3.16, 2 K 3.44
Mg: 0.0000 0.0000 0.3424  8 Mg 3.21-3.35, 2 K 3.49
K: 0.0000 0.0000 0.8299  2 Bi 3.36, 10 Mg 3.43-3.50
Mg: 0.0000 0.7470 0.5774  7 Mg 3.20-3.53, 2 Bi 3.29, 2 K 3.43-3.50
Mg: 0.5000 0.2247 0.4253  7 Mg 3.14-3.48, 1 Bi 3.16, 2 K 3.44
Bi: 0.5000 0.5000 0.1543  8 Mg 3.16-3.49, 2 K 3.36
Mg: 0.0000 0.2530 0.5774  7 Mg 3.20-3.53, 2 Bi 3.29, 2 K 3.43-3.50
Mg: 0.5000 0.7247 0.9253  7 Mg 3.14-3.48, 1 Bi 3.16, 2 K 3.44
Mg: 0.5000 0.5000 0.6682  10 Mg 3.32-3.48, 2 Bi 3.49
Mg: 0.0000 0.2470 0.0774  7 Mg 3.20-3.53, 2 Bi 3.29, 2 K 3.43-3.50
Bi: 0.5000 0.0000 0.6543  8 Mg 3.16-3.49, 2 K 3.36
Mg: 0.0000 0.7530 0.0774  7 Mg 3.20-3.53, 2 Bi 3.29, 2 K 3.43-3.50

Record 6
Below is a geometry-optimized BaCaCu4O8 structure, with properties calculated at the PBE level.

Summary:
Its space-group type is No. 162. The value obtained for the final energy is -5.3175 eV/atom. For the total moment, the calculation gives 0.0 Bohr magnetons per cell. As for the formation energy: -1.431 eV/atom.

abc: 5.3828 5.3828 7.7578
angles: 90.00 90.00 120.00
Closest atoms and distances in Å follow each position.
Element x y z (fractional)
O: 0.6691 0.0000 0.7014  2 Cu 1.86
Cu: 0.6667 0.3333 0.7607  4 O 1.86
O: 0.0000 0.3309 0.2986  2 Cu 1.86
Cu: 0.3333 0.6667 0.7607  4 O 1.86
Ba: 0.0000 0.0000 0.0000  12 O 2.92-3.11
O: 0.6667 0.3333 0.0000  2 Cu 1.86
Ca: 0.0000 0.0000 0.5000  6 O 2.37
Cu: 0.3333 0.6667 0.2393  4 O 1.86
Cu: 0.6667 0.3333 0.2393  4 O 1.86
O: 0.0000 0.6691 0.7014  2 Cu 1.86
O: 0.3333 0.6667 0.0000  2 Cu 1.86
O: 0.3309 0.0000 0.2986  2 Cu 1.86
O: 0.3309 0.3309 0.7014  2 Cu 1.86
O: 0.6691 0.6691 0.2986  2 Cu 1.86

Record 7
Below is a geometry-optimized Y2S3O12 structure, with properties calculated at the PBE level.

Summary:
Its space-group type is No. 60. The value obtained for the final energy is -7.1501 eV/atom. As for the formation energy: -2.652 eV/atom.

abc: 9.3181 9.4074 13.0090
angles: 90.00 90.00 90.00
Closest atoms and distances in Å follow each position.
Element x y z (fractional)
Y: 0.2495 0.5361 0.8833  6 O 2.24-2.27
Y: 0.2505 0.4639 0.3833  6 O 2.24-2.27
O: 0.3350 0.5721 0.0430  1 S 1.48
O: 0.1650 0.4279 0.5430  1 S 1.48
Y: 0.7495 0.5361 0.6167  6 O 2.24-2.27
O: 0.0500 0.9083 0.6470  1 S 1.48
Y: 0.7505 0.4639 0.1167  6 O 2.24-2.27
S: 0.6079 0.3897 0.8544  4 O 1.48
O: 0.8350 0.9279 0.5430  1 S 1.48
S: 0.1079 0.1103 0.3544  4 O 1.48
O: 0.6650 0.0721 0.0430  1 S 1.48
O: 0.1422 0.2393 0.6692  1 S 1.48
Y: 0.2505 0.0361 0.6167  6 O 2.24-2.27
O: 0.1422 0.2607 0.3308  1 S 1.48
O: 0.6422 0.2393 0.8308  1 S 1.48
O: 0.9429 0.1694 0.9270  1 S 1.48
O: 0.4429 0.3306 0.4270  1 S 1.48
Y: 0.2495 0.9639 0.1167  6 O 2.24-2.27
O: 0.3262 0.9840 0.7762  1 S 1.48
O: 0.9500 0.0917 0.3530  1 S 1.48
S: 0.3921 0.6103 0.1456  4 O 1.48
O: 0.5500 0.9083 0.8530  1 S 1.48
S: 0.8921 0.8897 0.6456  4 O 1.48
O: 0.3739 0.6515 0.4409  1 S 1.48
O: 0.8578 0.7607 0.3308  1 S 1.48
O: 0.3578 0.7393 0.8308  1 S 1.48
O: 0.6261 0.3485 0.5591  1 S 1.48
O: 0.8739 0.8485 0.9409  1 S 1.48
S: 0.4660 0.7500 0.5000  4 O 1.48
S: 0.3921 0.8897 0.8544  4 O 1.48
O: 0.1261 0.3485 0.9409  1 S 1.48
O: 0.4500 0.4083 0.8530  1 S 1.48
S: 0.6079 0.1103 0.1456  4 O 1.48
O: 0.0500 0.5917 0.3530  1 S 1.48
O: 0.8739 0.6515 0.0591  1 S 1.48
S: 0.8921 0.6103 0.3544  4 O 1.48
O: 0.6261 0.1515 0.4409  1 S 1.48
O: 0.8350 0.5721 0.4570  1 S 1.48
O: 0.1261 0.1515 0.0591  1 S 1.48
O: 0.9429 0.3306 0.0730  1 S 1.48
S: 0.1079 0.3897 0.6456  4 O 1.48
O: 0.4429 0.1694 0.5730  1 S 1.48
O: 0.5571 0.6694 0.5730  1 S 1.48
S: 0.5340 0.2500 0.5000  4 O 1.48
O: 0.3350 0.9279 0.9570  1 S 1.48
O: 0.3262 0.5160 0.2238  1 S 1.48
O: 0.5571 0.8306 0.4270  1 S 1.48
O: 0.6650 0.4279 0.9570  1 S 1.48
O: 0.0571 0.6694 0.9270  1 S 1.48
O: 0.8262 0.9840 0.7238  1 S 1.48
S: 0.9660 0.7500 0.0000  4 O 1.48
Y: 0.7495 0.9639 0.3833  6 O 2.24-2.27
O: 0.6738 0.4840 0.7762  1 S 1.48
O: 0.1738 0.4840 0.7238  1 S 1.48
O: 0.1650 0.0721 0.4570  1 S 1.48
O: 0.8578 0.7393 0.6692  1 S 1.48
O: 0.1738 0.0160 0.2762  1 S 1.48
Y: 0.7505 0.0361 0.8833  6 O 2.24-2.27
O: 0.6422 0.2607 0.1692  1 S 1.48
O: 0.8262 0.5160 0.2762  1 S 1.48
O: 0.5500 0.5917 0.1470  1 S 1.48
O: 0.9500 0.4083 0.6470  1 S 1.48
O: 0.3739 0.8485 0.5591  1 S 1.48
O: 0.0571 0.8306 0.0730  1 S 1.48
O: 0.3578 0.7607 0.1692  1 S 1.48
O: 0.6738 0.0160 0.2238  1 S 1.48
O: 0.4500 0.0917 0.1470  1 S 1.48
S: 0.0340 0.2500 0.0000  4 O 1.48

Record 8
Below is a geometry-optimized Ca7Si6CO23 structure, with properties calculated at the PBE level.

Summary:
Its space-group type is No. 8. The value obtained for the final energy is -7.1955 eV/atom. For the total moment, the calculation gives 4.0 Bohr magnetons per cell. As for the formation energy: -3.038 eV/atom.

abc: 9.4813 9.4813 6.6923
angles: 75.33 75.33 107.93
Closest atoms and distances in Å follow each position.
Element x y z (fractional)
Si: 0.3755 0.1694 0.4329  4 O 1.62-1.67
Si: 0.3275 0.6793 0.9990  4 O 1.63-1.65
O: 0.0851 0.9388 0.0829  1 C 1.28
Si: 0.6245 0.8319 0.5680  4 O 1.61-1.67
O: 0.5381 0.8632 0.3926  1 Si 1.61
Ca: 0.3645 0.0806 0.9824  6 O 2.31-2.50
Ca: 0.2525 0.7508 0.4973  6 O 2.38-2.45
Ca: 0.0806 0.3645 0.9824  6 O 2.31-2.50
Ca: 0.6520 0.9309 0.0154  6 O 2.31-2.50
Si: 0.6793 0.3275 0.9990  4 O 1.63-1.65
O: 0.0174 0.2657 0.3906  1 Si 1.64
O: 0.3102 0.3102 0.8975  2 Ca 2.35
Ca: 0.9946 0.9946 0.4776  6 O 2.41-2.68
O: 0.4640 0.1368 0.6062  1 Si 1.62
O: 0.4929 0.7049 0.8109  2 Si 1.64-1.65
O: 0.2538 0.2538 0.5195  2 Si 1.67
Ca: 0.9309 0.6520 0.0154  6 O 2.31-2.50
O: 0.9388 0.0851 0.0829  1 C 1.28
O: 0.8632 0.5381 0.3926  1 Si 1.61
O: 0.6533 0.1847 0.8999  1 Si 1.63
O: 0.9183 0.9183 0.8959  1 C 1.32
Ca: 0.7508 0.2525 0.4973  6 O 2.38-2.45
Si: 0.1694 0.3755 0.4329  4 O 1.62-1.67
Si: 0.8319 0.6245 0.5680  4 O 1.61-1.67
O: 0.1847 0.6533 0.8999  1 Si 1.63
O: 0.2894 0.5074 0.1856  2 Si 1.65
O: 0.3640 0.8217 0.0968  1 Si 1.63
C: 0.9841 0.9841 0.0200  3 O 1.28-1.32
O: 0.7288 0.9849 0.6132  1 Si 1.63
O: 0.8217 0.3640 0.0968  1 Si 1.63
O: 0.7049 0.4929 0.8109  2 Si 1.64-1.65
O: 0.2657 0.0174 0.3906  1 Si 1.64
O: 0.7536 0.7536 0.4816  2 Si 1.67
O: 0.5074 0.2894 0.1856  2 Si 1.65
O: 0.1368 0.4640 0.6062  1 Si 1.62
O: 0.9849 0.7288 0.6132  1 Si 1.63
O: 0.6688 0.6688 0.1237  2 Ca 2.47, 1 O 2.53

Record 9
Below is a geometry-optimized Cs2LiPrI6 structure, with properties calculated at the PBE level.

Summary:
Its space-group type is No. 225. The value obtained for the final energy is -3.2097 eV/atom. For the total moment, the calculation gives 0.0 Bohr magnetons per cell. As for the formation energy: -1.675 eV/atom.

abc: 8.6886 8.6886 8.6886
angles: 60.00 60.00 60.00
Closest atoms and distances in Å follow each position.
Element x y z (fractional)
I: 0.2550 0.2550 0.7450  1 Li 3.01, 1 Pr 3.13
Cs: 0.2500 0.2500 0.2500  12 I 4.34
Li: 0.5000 0.5000 0.5000  6 I 3.01
I: 0.7450 0.2550 0.7450  1 Li 3.01, 1 Pr 3.13
I: 0.7450 0.7450 0.2550  1 Li 3.01, 1 Pr 3.13
I: 0.7450 0.2550 0.2550  1 Li 3.01, 1 Pr 3.13
I: 0.2550 0.7450 0.2550  1 Li 3.01, 1 Pr 3.13
I: 0.2550 0.7450 0.7450  1 Li 3.01, 1 Pr 3.13
Pr: 0.0000 0.0000 0.0000  6 I 3.13
Cs: 0.7500 0.7500 0.7500  12 I 4.34

Record 10
Below is a geometry-optimized BaMg14Sn structure, with properties calculated at the PBE level.

Summary:
Its space-group type is No. 38. The value obtained for the final energy is -1.7582 eV/atom. For the total moment, the calculation gives 0.0 Bohr magnetons per cell. As for the formation energy: 0.013 eV/atom.

abc: 6.6413 6.6336 10.5289
angles: 90.00 90.00 119.96
Closest atoms and distances in Å follow each position.
Element x y z (fractional)
Mg: 0.3377 0.6603 0.3877  10 Mg 3.13-3.43, 1 Sn 3.32, 1 Ba 3.40
Ba: 0.1651 0.8325 0.1250  10 Mg 3.32-3.41, 2 Sn 3.32
Mg: 0.3377 0.1773 0.3877  10 Mg 3.13-3.43, 1 Sn 3.32, 1 Ba 3.40
Mg: 0.3377 0.1773 0.8623  10 Mg 3.13-3.43, 1 Sn 3.32, 1 Ba 3.40
Mg: 0.8222 0.6611 0.3889  11 Mg 3.12-3.43, 1 Ba 3.41
Mg: 0.6683 0.8359 0.6250  12 Mg 3.12-3.35
Mg: 0.1634 0.3317 0.6250  12 Mg 3.13-3.35
Sn: 0.1835 0.3418 0.1250  10 Mg 3.19-3.45, 2 Ba 3.32
Mg: 0.6617 0.8242 0.1250  2 Sn 3.19-3.45, 8 Mg 3.23-3.40, 2 Ba 3.32-3.33
Mg: 0.6683 0.3324 0.6250  12 Mg 3.12-3.35
Mg: 0.1658 0.8329 0.6250  12 Mg 3.18-3.33
Mg: 0.6617 0.3375 0.1250  2 Sn 3.19-3.45, 8 Mg 3.23-3.40, 2 Ba 3.32-3.33
Mg: 0.8335 0.1667 0.3704  11 Mg 3.25-3.33, 1 Sn 3.28
Mg: 0.8335 0.1667 0.8796  11 Mg 3.25-3.33, 1 Sn 3.28
Mg: 0.3377 0.6603 0.8623  10 Mg 3.13-3.43, 1 Sn 3.32, 1 Ba 3.40
Mg: 0.8222 0.6611 0.8611  11 Mg 3.12-3.43, 1 Ba 3.41

Record 11
Below is a geometry-optimized HgO structure, with properties calculated at the PBE level.

Summary:
Its space-group type is No. 11. The value obtained for the final energy is -2.9199 eV/atom. For the total moment, the calculation gives 0.0 Bohr magnetons per cell. As for the formation energy: -0.638 eV/atom.

abc: 5.8221 6.7364 7.4284
angles: 88.83 90.00 90.00
Closest atoms and distances in Å follow each position.
Element x y z (fractional)
O: 0.2500 0.1413 0.2197  2 Hg 2.06-2.07
O: 0.7500 0.8655 0.2813  2 Hg 2.06-2.07
Hg: 0.2500 0.8784 0.8760  2 O 2.06
O: 0.7500 0.3650 0.4585  2 Hg 2.06-2.07
Hg: 0.7500 0.1216 0.1240  2 O 2.06
O: 0.7500 0.8587 0.7803  2 Hg 2.06-2.07
Hg: 0.7500 0.1140 0.6220  2 O 2.06
O: 0.7500 0.3717 0.9596  2 Hg 2.06-2.07
Hg: 0.2500 0.3860 0.3827  2 O 2.07
Hg: 0.2500 0.8860 0.3780  2 O 2.06
O: 0.2500 0.1345 0.7187  2 Hg 2.06-2.07
Hg: 0.7500 0.6140 0.6173  2 O 2.07
O: 0.2500 0.6283 0.0404  2 Hg 2.06-2.07
Hg: 0.2500 0.3787 0.8824  2 O 2.07
Hg: 0.7500 0.6213 0.1176  2 O 2.07
O: 0.2500 0.6350 0.5415  2 Hg 2.06-2.07